# 1
# Ca3SnF6 PBE relaxed
data_Ca3SnF6
_space_group_name_H-M_alt 'P -1'
_space_group_IT_number 2
_cell_length_a 3.595
_cell_length_b 7.506
_cell_length_c 7.663
_cell_angle_alpha 66.42
_cell_angle_beta 86.66
_cell_angle_gamma 89.98
loop_
_space_group_symop_operation_xyz
'x,y,z'
'-x,-y,-z'
loop_
_atom_site_label
_atom_site_fract_x
_atom_site_fract_y
_atom_site_fract_z
Ca1 0.000 0.000 0.000
Ca2 0.000 0.500 0.500
Ca3 0.500 0.000 0.500
Sn1 0.000 0.500 0.000
F1 0.005 0.694 0.191
F2 0.029 0.044 0.287
F3 0.492 0.685 0.528
# calculated formation energy = -3.41 eV per atom
# ΔE to the lowest computed polymorph = 0.000 eV/atom
# calculated total energy = -5.29 eV/atom

=====

# 2
# TiMnRh2 PBE relaxed
data_TiMnRh2
_space_group_name_H-M_alt 'F m -3 m'
_space_group_IT_number 225
_space_group_name_Hall '-F 4 2 3'
_cell_length_a 6.161
_cell_length_b 6.161
_cell_length_c 6.161
_cell_angle_alpha 90.00
_cell_angle_beta 90.00
_cell_angle_gamma 90.00
loop_
_atom_site_label
_atom_site_fract_x
_atom_site_fract_y
_atom_site_fract_z
Ti1 0.000 0.000 0.000
Mn1 0.000 0.000 0.500
Rh1 0.250 0.250 0.250
# calculated formation energy = -0.57 eV per atom
# calculated total energy = -8.52 eV/atom

=====

# 3
# In3AsSe3 PBE relaxed
data_In3AsSe3
_space_group_name_H-M_alt 'C 1 m 1'
_space_group_IT_number 8
_cell_length_a 14.223
_cell_length_b 4.233
_cell_length_c 7.422
_cell_angle_alpha 90.00
_cell_angle_beta 98.78
_cell_angle_gamma 90.00
loop_
_space_group_symop_operation_xyz
'x,y,z'
'x,-y,z'
'x+1/2,y+1/2,z'
'x+1/2,-y+1/2,z'
loop_
_atom_site_label
_atom_site_fract_x
_atom_site_fract_y
_atom_site_fract_z
In1 0.000 0.000 0.000
In2 0.005 0.500 0.493
In3 0.268 0.500 0.235
As1 0.077 0.500 0.184
Se1 0.076 0.000 0.688
Se2 0.317 0.000 0.457
Se3 0.318 0.500 0.919
# calculated formation energy = -0.63 eV per atom
# calculated total energy = -3.77 eV/atom

=====

# 4
# As9Pb5S18 PBE relaxed
data_As9Pb5S18
_space_group_name_H-M_alt 'P -1'
_space_group_IT_number 2
_cell_length_a 7.915
_cell_length_b 8.522
_cell_length_c 23.213
_cell_angle_alpha 97.08
_cell_angle_beta 90.12
_cell_angle_gamma 90.49
loop_
_space_group_symop_operation_xyz
'x,y,z'
'-x,-y,-z'
loop_
_atom_site_label
_atom_site_fract_x
_atom_site_fract_y
_atom_site_fract_z
As1 0.127 0.068 0.113
As2 0.129 0.694 0.008
As3 0.132 0.625 0.320
As4 0.135 0.047 0.558
As5 0.159 0.324 0.433
As6 0.336 0.385 0.674
As7 0.372 0.658 0.568
As8 0.372 0.936 0.886
As9 0.373 0.306 0.992
Pb1 0.124 0.325 0.847
Pb2 0.124 0.794 0.734
Pb3 0.374 0.679 0.155
Pb4 0.375 0.213 0.266
Pb5 0.375 0.916 0.417
S1 0.099 0.822 0.496
S2 0.115 0.234 0.704
S3 0.125 0.433 0.242
S4 0.126 0.154 0.949
S5 0.126 0.772 0.859
S6 0.127 0.508 0.068
S7 0.127 0.931 0.190
S8 0.132 0.115 0.367
S9 0.158 0.531 0.613
S10 0.341 0.185 0.508
S11 0.341 0.774 0.292
S12 0.358 0.895 0.624
S13 0.367 0.561 0.755
S14 0.373 0.074 0.808
S15 0.374 0.492 0.933
S16 0.374 0.846 0.050
S17 0.377 0.228 0.141
S18 0.393 0.455 0.392
# calculated formation energy = -0.49 eV per atom
# calculated total energy = -4.42 eV/atom